# 1
Entry from the Materials Project: a relaxed structure of YCuO2 (PBE).

Lattice parameters (Å, degrees): 3.563 3.563 6.086 72.98 72.98 60.00
Fractional coordinates of all 4 atoms:
Y: 0.500 0.500 0.500
Cu: 0.000 0.000 0.000
O: 0.106 0.106 0.681
O: 0.894 0.894 0.319

# 2
Entry from the Materials Project: a relaxed structure of ScAgSe2 (PBE).

Lattice parameters (Å, degrees): 4.033 6.779 13.328 90.00 90.00 90.00
Fractional coordinates of all 16 atoms:
Ag: 0.002 0.795 0.124
Sc: 0.274 0.710 0.629
Se: 0.281 0.589 0.273
Sc: 0.726 0.210 0.871
Se: 0.231 0.026 0.971
Sc: 0.774 0.790 0.371
Se: 0.719 0.089 0.227
Se: 0.269 0.974 0.471
Ag: 0.998 0.295 0.376
Se: 0.219 0.411 0.773
Ag: 0.502 0.705 0.876
Se: 0.769 0.526 0.529
Se: 0.781 0.911 0.727
Se: 0.731 0.474 0.029
Sc: 0.226 0.290 0.129
Ag: 0.498 0.205 0.624

# 3
Entry from the Materials Project: a relaxed structure of HfZn (PBE).

Lattice parameters (Å, degrees): 3.304 3.304 3.304 90.00 90.00 90.00
Fractional coordinates of all 2 atoms:
Zn: 0.000 0.000 0.000
Hf: 0.500 0.500 0.500

# 4
Entry from the Materials Project: a relaxed structure of Th8Al4H11 (PBE).

Lattice parameters (Å, degrees): 7.698 7.698 19.024 90.00 90.00 90.00
Fractional coordinates of all 69 atoms:
H: 0.130 0.130 0.966
H: 0.873 0.127 0.789
H: 0.372 0.372 0.123
Th: 0.832 0.832 0.416
Th: 0.336 0.664 0.751
H: 0.868 0.132 0.135
H: 0.132 0.868 0.135
H: 0.628 0.372 0.877
Th: 0.332 0.332 0.916
Th: 0.837 0.837 0.747
H: 0.500 0.500 0.000
Th: 0.160 0.840 0.915
H: 0.873 0.873 0.620
H: 0.371 0.371 0.367
Th: 0.339 0.339 0.584
Th: 0.168 0.168 0.416
H: 0.628 0.372 0.291
Al: 0.500 0.000 0.500
H: 0.372 0.372 0.466
Al: 0.000 0.500 0.168
H: 0.873 0.873 0.211
Th: 0.664 0.664 0.249
H: 0.628 0.628 0.709
Th: 0.163 0.163 0.747
H: 0.870 0.870 0.966
Al: 0.000 0.500 0.000
H: 0.127 0.873 0.380
H: 0.628 0.372 0.534
H: 0.628 0.628 0.123
Th: 0.339 0.661 0.416
H: 0.127 0.127 0.211
Al: 0.000 0.500 0.500
Th: 0.837 0.163 0.253
Al: 0.000 0.500 0.667
Al: 0.000 0.500 0.333
H: 0.628 0.628 0.466
Th: 0.832 0.168 0.584
H: 0.127 0.127 0.620
Al: 0.500 0.000 0.168
H: 0.372 0.372 0.709
Th: 0.163 0.837 0.253
Th: 0.332 0.668 0.084
Al: 0.500 0.000 0.000
Th: 0.840 0.840 0.085
Th: 0.661 0.339 0.416
H: 0.870 0.130 0.034
H: 0.629 0.629 0.367
H: 0.873 0.127 0.380
H: 0.372 0.628 0.534
Th: 0.668 0.668 0.916
H: 0.371 0.629 0.633
Th: 0.840 0.160 0.915
H: 0.372 0.628 0.291
H: 0.629 0.371 0.633
H: 0.132 0.132 0.865
H: 0.372 0.628 0.877
Th: 0.168 0.832 0.584
H: 0.127 0.873 0.789
Al: 0.000 0.500 0.832
Th: 0.336 0.336 0.249
H: 0.868 0.868 0.865
Al: 0.500 0.000 0.333
Al: 0.500 0.000 0.667
Th: 0.160 0.160 0.085
H: 0.130 0.870 0.034
Al: 0.500 0.000 0.832
Th: 0.664 0.336 0.751
Th: 0.668 0.332 0.084
Th: 0.661 0.661 0.584

Output
The spin magnetization is 0.7 μB/cell.

# 5
Entry from the Materials Project: a relaxed structure of BiF4 (PBE).

Lattice parameters (Å, degrees): 6.645 6.645 6.645 131.97 131.97 70.28
Fractional coordinates of all 10 atoms:
Bi: 0.500 0.500 0.000
F: 0.874 0.348 0.000
F: 0.348 0.874 0.000
F: 0.126 0.652 0.000
Bi: 0.000 0.000 0.000
F: 0.652 0.126 0.000
F: 0.874 0.874 0.526
F: 0.652 0.652 0.526
F: 0.348 0.348 0.474
F: 0.126 0.126 0.474

Output
The spin magnetization is 0.0 μB/cell.

# 6
Entry from the Materials Project: a relaxed structure of TlIn3 (PBE).

Lattice parameters (Å, degrees): 5.821 5.821 5.821 130.16 130.16 73.15
Fractional coordinates of all 4 atoms:
In: 0.250 0.750 0.500
In: 0.750 0.250 0.500
Tl: 0.000 0.000 0.000
In: 0.500 0.500 0.000

Number 1: final energy -7.494 eV per atom. Number 2: final energy -5.112 eV per atom. Number 3: final energy -5.808 eV per atom. Number 4: final energy -5.285 eV per atom. Number 5: final energy -4.251 eV per atom. Number 6: final energy -2.618 eV per atom.